1.
Density functional theory data (r2SCAN) for an optimized crystal structure of ThRe2.

Calculated values
formation energy from the elements = -31 kJ/mol of formula units
symmetry = P6_3/mmc, No. 194
total magnetization = 0.00 Bohr magnetons per cell

abc: 5.3728 5.3728 9.4820
angles: 90.00 90.00 120.00
Fractional coordinates of all 12 atoms:
Th: 0.6667 0.3333 0.5599
Th: 0.3333 0.6667 0.4401
Th: 0.6667 0.3333 0.9401
Th: 0.3333 0.6667 0.0599
Re: 0.8310 0.6621 0.2500
Re: 0.3379 0.1690 0.2500
Re: 0.6621 0.8310 0.7500
Re: 0.1690 0.8310 0.7500
Re: 0.8310 0.1690 0.2500
Re: 0.1690 0.3379 0.7500
Re: 0.0000 0.0000 0.0000
Re: 0.0000 0.0000 0.5000

2.
Density functional theory data (r2SCAN) for an optimized crystal structure of Eu2Te4O11.

Calculated values
formation energy from the elements = -2923 kJ/mol of formula units
symmetry = C2/c, No. 15
total magnetization = 23.99 Bohr magnetons per cell

abc: 6.7809 6.7809 16.2889
angles: 75.64 75.64 45.21
Fractional coordinates of all 34 atoms:
O: 0.3897 0.5654 0.0998
O: 0.5654 0.3897 0.5998
O: 0.6103 0.4346 0.9002
O: 0.3184 0.1885 0.6276
O: 0.0417 0.8172 0.9523
O: 0.9583 0.1828 0.0477
O: 0.7437 0.6754 0.5530
O: 0.3246 0.2563 0.9470
O: 0.1828 0.9583 0.5477
O: 0.6816 0.8115 0.3724
O: 0.2563 0.3246 0.4470
O: 0.8115 0.6816 0.8724
O: 0.6754 0.7437 0.0530
O: 0.1446 0.8554 0.2500
O: 0.1986 0.1006 0.8293
O: 0.1006 0.1986 0.3293
O: 0.8172 0.0417 0.4523
O: 0.8014 0.8994 0.1707
O: 0.8554 0.1446 0.7500
O: 0.8994 0.8014 0.6707
O: 0.4346 0.6103 0.4002
O: 0.1885 0.3184 0.1276
Eu: 0.1350 0.6282 0.5375
Eu: 0.8650 0.3718 0.4625
Eu: 0.6282 0.1350 0.0375
Eu: 0.3718 0.8650 0.9625
Te: 0.4106 0.8516 0.6259
Te: 0.5894 0.1484 0.3741
Te: 0.8415 0.3980 0.7993
Te: 0.6020 0.1585 0.7007
Te: 0.1484 0.5894 0.8741
Te: 0.1585 0.6020 0.2007
Te: 0.3980 0.8415 0.2993
Te: 0.8516 0.4106 0.1259

3.
Density functional theory data (r2SCAN) for an optimized crystal structure of K2SeO4.

Calculated values
formation energy from the elements = -1047 kJ/mol of formula units
symmetry = Pnma, No. 62
total magnetization = 0.00 Bohr magnetons per cell

abc: 5.9688 7.6198 10.4109
angles: 90.00 90.00 90.00
Fractional coordinates of all 28 atoms:
K: 0.7500 0.1643 0.0803
K: 0.2500 0.8357 0.9197
K: 0.7500 0.4983 0.7945
K: 0.7500 0.9983 0.7055
K: 0.7500 0.6643 0.4197
K: 0.2500 0.0017 0.2945
K: 0.2500 0.3357 0.5803
K: 0.2500 0.5017 0.2055
O: 0.2500 0.9941 0.5710
O: 0.2500 0.4941 0.9290
O: 0.2500 0.6873 0.4361
O: 0.7500 0.5059 0.0710
O: 0.7500 0.8127 0.9361
O: 0.2500 0.1873 0.0639
O: 0.0238 0.2103 0.8415
O: 0.5238 0.2897 0.3415
O: 0.4762 0.7103 0.6585
O: 0.9762 0.7897 0.1585
O: 0.7500 0.0059 0.4290
O: 0.9762 0.2897 0.3415
O: 0.5238 0.7897 0.1585
O: 0.7500 0.3127 0.5639
O: 0.4762 0.2103 0.8415
O: 0.0238 0.7103 0.6585
Se: 0.7500 0.2215 0.4188
Se: 0.2500 0.2785 0.9188
Se: 0.2500 0.7785 0.5812
Se: 0.7500 0.7215 0.0812

4.
Density functional theory data (r2SCAN) for an optimized crystal structure of Ce2AlRu2.

Calculated values
formation energy from the elements = -256 kJ/mol of formula units
symmetry = Cmce, No. 64
total magnetization = 1.26 Bohr magnetons per cell

abc: 5.9947 5.9947 6.6746
angles: 90.00 90.00 121.15
Fractional coordinates of all 10 atoms:
Ru: 0.1289 0.3711 0.7500
Ru: 0.6289 0.8711 0.7500
Ru: 0.3711 0.1289 0.2500
Ru: 0.8711 0.6289 0.2500
Ce: 0.6582 0.3418 0.9285
Ce: 0.3418 0.6582 0.0715
Ce: 0.1582 0.8418 0.5715
Ce: 0.8418 0.1582 0.4285
Al: 0.5000 0.5000 0.5000
Al: 0.0000 0.0000 0.0000